DFT (PBE-GGA) results for a geometry-optimized Cs2Li2SiO4 structure.

Output
ΔE_f   -22.245 eV/f.u.
Crystal system   triclinic
Final energy   -5.591 eV per atom
ρ   4.16 Mg/m³
Symmetry   No. 2

a = 5.6246 Å, b = 5.8175 Å, c = 9.3882 Å
α = 83.82°, β = 76.64°, γ = 87.21°
Last column: nearest neighbours and their distance in Å.
Fractional positions:
Cs  0.0209  0.1518  0.2839  6 O 3.05-3.31, 4 Li 3.06-3.27
Cs  0.2893  0.7333  0.0158  4 O 2.90-3.15
Cs  0.7107  0.2667  0.9842  4 O 2.90-3.15
Cs  0.9791  0.8482  0.7161  6 O 3.05-3.31, 4 Li 3.06-3.27
Li  0.2009  0.5901  0.4204  4 O 2.01-2.04
Li  0.4388  0.1874  0.4387  3 O 1.90-2.01
Li  0.5612  0.8126  0.5613  3 O 1.90-2.01
Li  0.7991  0.4099  0.5796  4 O 2.01-2.04
Si  0.3550  0.3152  0.7047  4 O 1.64-1.69
Si  0.6450  0.6848  0.2953  4 O 1.64-1.69
O  0.1465  0.3588  0.6008  1 Si 1.68
O  0.2323  0.2065  0.8726  1 Si 1.64
O  0.4291  0.8620  0.3863  1 Si 1.69
O  0.4979  0.4440  0.2932  1 Si 1.67
O  0.5021  0.5560  0.7068  1 Si 1.67
O  0.5709  0.1380  0.6137  1 Si 1.69
O  0.7677  0.7935  0.1274  1 Si 1.64
O  0.8535  0.6412  0.3992  1 Si 1.68

DFT (PBE-GGA) results for a geometry-optimized KAsOF4 structure.

Output
ΔE_f   -18.087 eV/f.u.
Total magnetization   0.00 μB/cell
Crystal system   monoclinic
Final energy   -4.847 eV per atom
ρ   3.11 Mg/m³
Symmetry   No. 14

a = 5.4025 Å, b = 5.9495 Å, c = 14.5001 Å
α = 90.00°, β = 109.47°, γ = 90.00°
Last column: nearest neighbours and their distance in Å.
Fractional positions:
K  0.1428  0.1312  0.1476  7 F 2.72-3.02, 1 O 2.87
K  0.1428  0.3688  0.6476  7 F 2.72-3.02, 1 O 2.87
K  0.8572  0.6312  0.3524  7 F 2.72-3.02, 1 O 2.87
K  0.8572  0.8688  0.8524  7 F 2.72-3.02, 1 O 2.87
As  0.4727  0.1178  0.4169  4 F 1.79-1.82, 2 O 1.83
As  0.4727  0.3822  0.9169  4 F 1.79-1.82, 2 O 1.83
As  0.5273  0.6178  0.0831  4 F 1.79-1.82, 2 O 1.83
As  0.5273  0.8822  0.5831  4 F 1.79-1.82, 2 O 1.83
O  0.3323  0.1188  0.5155  2 As 1.83
O  0.3323  0.3812  0.0155  2 As 1.83
O  0.6677  0.6188  0.9845  2 As 1.83
O  0.6677  0.8812  0.4845  2 As 1.83
F  0.2200  0.5644  0.8386  1 As 1.82
F  0.2200  0.9356  0.3386  1 As 1.82
F  0.2728  0.1537  0.8532  1 As 1.79
F  0.2728  0.3463  0.3532  1 As 1.79
F  0.2784  0.6753  0.5258  1 As 1.81
F  0.2784  0.8247  0.0258  1 As 1.81
F  0.3775  0.5976  0.1764  1 As 1.80
F  0.3775  0.9024  0.6764  1 As 1.80
F  0.6225  0.0976  0.3236  1 As 1.80
F  0.6225  0.4024  0.8236  1 As 1.80
F  0.7216  0.1753  0.9742  1 As 1.81
F  0.7216  0.3247  0.4742  1 As 1.81
F  0.7272  0.6537  0.6468  1 As 1.79
F  0.7272  0.8463  0.1468  1 As 1.79
F  0.7800  0.0644  0.6614  1 As 1.82
F  0.7800  0.4356  0.1614  1 As 1.82

DFT (PBE-GGA) results for a geometry-optimized CrSe2 structure.

Output
ΔE_f   -2.226 eV/f.u.
Crystal system   cubic
Final energy   -5.976 eV per atom
ρ   5.49 Mg/m³
Symmetry   No. 227

a = 7.1076 Å, b = 7.1076 Å, c = 7.1076 Å
α = 60.00°, β = 60.00°, γ = 60.00°
Last column: nearest neighbours and their distance in Å.
Fractional positions:
Cr  0.0000  0.0000  0.0000  6 Se 2.51
Cr  0.0000  0.0000  0.5000  6 Se 2.51
Cr  0.0000  0.5000  0.0000  6 Se 2.51
Cr  0.5000  0.0000  0.0000  6 Se 2.51
Se  0.2492  0.7503  0.7503  3 Cr 2.51
Se  0.2497  0.2497  0.2497  3 Cr 2.51
Se  0.2497  0.2497  0.7508  3 Cr 2.51
Se  0.2497  0.7508  0.2497  3 Cr 2.51
Se  0.7503  0.2492  0.7503  3 Cr 2.51
Se  0.7503  0.7503  0.2492  3 Cr 2.51
Se  0.7503  0.7503  0.7503  3 Cr 2.51
Se  0.7508  0.2497  0.2497  3 Cr 2.51